Entry 1:
Entry from the Materials Project: crystalline Tb5In4Pd2 at its relaxed geometry (r²SCAN).

Results
Uncorrected energy ... -27.387 eV/atom
ΔE_f ... -0.81 eV/atom
Volume ... 24.4 A^3/atom
Spin magnetization ... 0.0311 μB/atom
SG ... No. 55
Calculated density ... 9.1 g cm⁻³

The structure in extended XYZ format:
```
22
Lattice="8.064 0.000 0.000 0.000 18.262 0.000 0.000 0.000 3.649" Properties=species:S:1:pos:R:3 pbc="T T T"
Tb 0.000 0.000 0.000
Tb 0.948 7.618 0.000
Tb 1.961 4.012 0.000
Tb 2.071 13.143 0.000
Tb 3.084 16.749 0.000
Tb 4.032 9.131 0.000
Tb 4.980 1.512 0.000
Tb 5.993 5.119 0.000
Tb 6.103 14.250 0.000
Tb 7.116 10.643 0.000
In 0.615 15.520 1.824
In 1.692 10.392 1.824
In 2.340 1.261 1.824
In 3.417 6.389 1.824
In 4.647 11.873 1.824
In 5.724 17.001 1.824
In 6.372 7.870 1.824
In 7.449 2.742 1.824
Pd 0.221 5.563 1.824
Pd 3.811 14.694 1.824
Pd 4.253 3.568 1.824
Pd 7.843 12.699 1.824
```

***

Entry 2:
Entry from the Materials Project: crystalline TbInPd at its relaxed geometry (r²SCAN).

Results
Uncorrected energy ... -26.500 eV/atom
ΔE_f ... -0.91 eV/atom
Volume ... 21.9 A^3/atom
Spin magnetization ... 0.0000 μB/atom
SG ... No. 189
Calculated density ... 9.6 g cm⁻³

The structure in extended XYZ format:
```
9
Lattice="7.706 0.000 0.000 -3.853 6.674 0.000 0.000 0.000 3.824" Properties=species:S:1:pos:R:3 pbc="T T T"
Tb -2.279 3.947 0.000
Tb 1.574 2.726 0.000
Tb 4.558 0.000 0.000
In -0.999 1.731 1.912
In 1.999 0.000 1.912
In 2.854 4.943 1.912
Pd 0.000 0.000 0.000
Pd 0.000 4.449 1.912
Pd 3.853 2.225 1.912
```

***

Entry 3:
Entry from the Materials Project: crystalline TmInPd at its relaxed geometry (r²SCAN).

Results
Uncorrected energy ... -27.790 eV/atom
ΔE_f ... -0.90 eV/atom
Volume ... 21.1 A^3/atom
Spin magnetization ... 0.0000 μB/atom
SG ... No. 189
Calculated density ... 10.3 g cm⁻³

The structure in extended XYZ format:
```
9
Lattice="7.654 0.000 0.000 -3.827 6.629 0.000 0.000 0.000 3.736" Properties=species:S:1:pos:R:3 pbc="T T T"
Tm -2.273 3.938 0.000
Tm 1.554 2.691 0.000
Tm 4.547 0.000 0.000
In -1.005 1.741 1.868
In 2.010 0.000 1.868
In 2.822 4.888 1.868
Pd 0.000 0.000 0.000
Pd 0.000 4.419 1.868
Pd 3.827 2.210 1.868
```

***

Entry 4:
Entry from the Materials Project: crystalline TmInPd2 at its relaxed geometry (r²SCAN).

Results
Uncorrected energy ... -26.814 eV/atom
ΔE_f ... -0.91 eV/atom
Volume ... 18.7 A^3/atom
Spin magnetization ... 0.0000 μB/atom
SG ... No. 225
Calculated density ... 11.0 g cm⁻³

The structure in extended XYZ format:
```
4
Lattice="0.000 3.346 3.346 3.346 0.000 3.346 3.346 3.346 0.000" Properties=species:S:1:pos:R:3 pbc="T T T"
Tm 0.000 0.000 0.000
In 3.346 3.346 3.346
Pd 1.673 1.673 1.673
Pd 5.019 5.019 5.019
```